## MnPO4 (PBE+U)

Data for MnPO4 after structural relaxation.

Maximum piezoelectric response ... 1.03 C/m²
VASP energy ... -7.34 eV/atom

Cell lengths 9.305, 4.917, 9.118 Å; angles 90.00, 115.94, 90.00 degrees
Space group Cc (No. 9)
Inequivalent atoms, fractional coordinates:
Mn (0.000, 0.216, 0.000) x4
P (0.118, 0.276, 0.369) x4
O (0.098, 0.130, 0.509) x4
O (0.108, 0.413, 0.895) x4
O (0.278, 0.207, 0.364) x4
O (0.483, 0.312, 0.701) x4

=====

## MnPO4 (PBE+U)

Data for MnPO4 after structural relaxation.

VASP energy ... -7.34 eV/atom

Cell lengths 5.624, 6.330, 9.709 Å; angles 76.62, 79.74, 76.69 degrees
Space group P-1 (No. 2)
Inequivalent atoms, fractional coordinates:
Mn (0.129, 0.105, 0.174) x2
Mn (0.274, 0.176, 0.578) x2
P (0.185, 0.699, 0.549) x2
P (0.316, 0.832, 0.915) x2
O (0.050, 0.210, 0.356) x2
O (0.101, 0.732, 0.401) x2
O (0.153, 0.663, 0.926) x2
O (0.183, 0.030, 0.802) x2
O (0.302, 0.899, 0.060) x2
O (0.306, 0.460, 0.609) x2
O (0.379, 0.851, 0.540) x2
O (0.413, 0.242, 0.145) x2

=====

## Mn3P2O8 (PBE+U)

Data for Mn3P2O8 after structural relaxation.

Energy above the most stable polymorph in this dataset ... 5 meV per atom

Cell lengths 5.316, 6.777, 10.121 Å; angles 90.00, 116.46, 90.00 degrees
Space group P2_1/c (No. 14)
Inequivalent atoms, fractional coordinates:
Mn (0.000, 0.000, 0.000) x2
Mn (0.285, 0.156, 0.372) x4
P (0.344, 0.667, 0.307) x4
O (0.131, 0.709, 0.145) x4
O (0.236, 0.014, 0.863) x4
O (0.359, 0.127, 0.183) x4
O (0.370, 0.657, 0.911) x4

=====

## MnPO4 (PBE+U)

Data for MnPO4 after structural relaxation.

VASP energy ... -7.35 eV/atom

Cell lengths 14.3278, 14.3278, 9.3775 Å; angles 90.00, 90.00, 120.00 degrees
Space group R3 (No. 146, hexagonal axes)
Inequivalent atoms, fractional coordinates:
Mn (0.0056, 0.2139, 0.0000) x9
Mn (0.1357, 0.6806, 0.1816) x9
P (0.0096, 0.2045, 0.6642) x9
P (0.1370, 0.6724, 0.8333) x9
O (0.0154, 0.3135, 0.6258) x9
O (0.0185, 0.6487, 0.8252) x9
O (0.0590, 0.2096, 0.8130) x9
O (0.0732, 0.1814, 0.5503) x9
O (0.0960, 0.1931, 0.1273) x9
O (0.1819, 0.7075, 0.9848) x9
O (0.2016, 0.7641, 0.7278) x9
O (0.2155, 0.4377, 0.3280) x9

=====

## Mn4P3O12 (PBE+U)

Data for Mn4P3O12 after structural relaxation.

Energy above the most stable polymorph in this dataset ... 4 meV per atom

Cell lengths 6.774, 6.774, 19.589 Å; angles 90.00, 90.00, 90.00 degrees
Space group I-42d (No. 122)
Inequivalent atoms, fractional coordinates:
Mn (0.000, 0.000, 0.231) x8
Mn (0.249, 0.750, 0.625) x8
P (0.000, 0.000, 0.000) x4
P (0.156, 0.250, 0.625) x8
O (0.006, 0.201, 0.684) x16
O (0.066, 0.685, 0.208) x16
O (0.069, 0.721, 0.397) x16